Below is a relaxed structure of Sm4Al2O9, with properties calculated at the PBE level.

## Properties
energy	-484.28	eV for the cell shown
DFT formation energy	-86.64	kcal/mol of atoms

Cell lengths 7.6687, 10.8115, 11.3634 Å; angles 90.00, 109.01, 90.00 degrees
Space group P2_1/c (No. 14)
Asymmetric unit:
Sm  0.0236  0.1038  0.2870 [4 per cell]
Sm  0.1643  0.6245  0.5686 [4 per cell]
Sm  0.3362  0.1222  0.9139 [4 per cell]
Sm  0.4751  0.5895  0.1912 [4 per cell]
Al  0.1523  0.1852  0.6166 [4 per cell]
Al  0.2789  0.6873  0.8713 [4 per cell]
O  0.0668  0.0080  0.8953 [4 per cell]
O  0.0667  0.7407  0.8844 [4 per cell]
O  0.1387  0.2296  0.4645 [4 per cell]
O  0.1990  0.0302  0.6674 [4 per cell]
O  0.2680  0.7288  0.2342 [4 per cell]
O  0.2834  0.5293  0.8367 [4 per cell]
O  0.2850  0.2278  0.2469 [4 per cell]
O  0.4230  0.0050  0.1068 [4 per cell]
O  0.4244  0.7341  0.0184 [4 per cell]